Entry 1:
PdPb2F6 | GGA-PBE | optimized geometry

```
PdPb2F6
1.0
3.002 -8.510 0.000
3.002 8.510 0.000
0.000 0.000 5.999
F Pb Pd
12 4 2
Cartesian
0.993 -1.438 5.002
4.462 -4.255 1.500
3.995 -1.438 3.996
0.993 1.438 5.002
5.010 1.438 0.997
2.009 1.438 2.002
1.542 -4.255 4.499
4.462 4.255 1.500
2.009 -1.438 2.002
5.010 -1.438 0.997
3.995 1.438 3.996
1.542 4.255 4.499
3.002 -5.753 2.999
3.002 5.753 2.999
3.002 2.757 0.000
3.002 -2.757 0.000
3.002 0.000 2.999
0.000 0.000 0.000
```

For the energy of formation, the calculation gives -2.289 eV per atom. As for the space-group type: Cmce.

Entry 2:
Ca3Ga2Sn3O12 | GGA-PBE | optimized geometry

```
Ca3Ga2Sn3O12
1.0
9.945 -0.238 5.127
-3.880 10.497 -0.130
-7.195 -6.569 5.508
O Sn Ga Ca
48 12 8 12
Cartesian
-4.515 3.713 2.743
1.846 -1.459 5.639
1.363 -3.942 7.271
-0.818 -0.024 4.513
-1.552 2.414 3.577
-7.752 0.148 5.634
-2.302 -1.321 7.211
2.078 5.444 6.482
-0.508 6.873 4.921
-4.913 -2.689 6.600
-0.702 -5.558 8.792
-2.432 2.635 9.366
-2.590 -5.072 6.906
3.645 0.363 4.016
-3.207 -1.754 4.023
0.422 1.276 6.928
6.622 3.542 4.871
3.784 6.379 3.905
6.531 -2.102 6.448
1.065 1.873 4.048
-0.815 4.740 8.801
-7.660 5.792 4.058
-4.775 3.326 6.489
6.397 6.187 5.430
-0.314 -1.050 1.704
3.290 2.666 6.412
1.461 8.762 3.599
-5.567 6.546 2.505
-0.312 3.714 5.993
-4.419 1.024 4.094
1.302 1.054 1.139
0.375 -1.185 8.627
3.386 -0.023 7.762
4.438 -2.857 8.000
-0.621 -3.183 5.584
0.248 2.423 9.729
-6.778 2.892 3.995
-1.378 1.267 0.776
-2.194 1.816 6.457
-4.978 0.011 6.851
3.849 3.679 3.654
-0.427 9.248 1.713
-1.504 4.875 1.878
-7.527 -2.497 5.075
5.649 0.798 6.510
-2.975 5.149 4.866
-2.493 7.632 3.235
1.173 5.011 3.295
3.165 8.185 4.420
6.833 1.595 5.142
2.962 2.145 4.533
0.608 5.260 5.173
-2.637 4.038 3.266
-3.951 7.513 1.904
-4.091 1.544 5.973
1.507 -0.348 7.239
2.821 -3.823 8.601
-4.294 -4.495 6.085
-1.737 -1.571 5.333
-7.962 2.095 5.363
1.375 -3.403 5.317
3.033 5.129 2.499
-5.537 1.964 2.689
-3.597 -3.284 2.754
4.973 -0.119 2.563
-1.940 5.248 -0.065
0.000 0.000 0.000
-0.565 1.845 5.253
4.478 4.710 5.782
4.276 -1.330 5.894
-1.049 -3.272 7.991
0.132 3.056 1.922
-0.080 6.962 2.514
1.446 -0.419 3.283
-5.608 -1.020 4.723
-1.261 0.634 8.584
-5.405 5.019 4.611
1.295 3.559 7.831
-2.575 4.109 7.222
-2.425 0.131 2.674
```

Its relative energy among the computed polymorphs is 105.7 meV per atom. For the energy of formation, the calculation gives -2.481 eV per atom. As for the space-group type: Ia-3d.

Entry 3:
Sr4MgIn2Sb2O12 | GGA-PBE | optimized geometry

```
Sr4MgIn2Sb2O12
1.0
6.039 0.010 0.340
0.009 5.966 0.006
0.515 0.006 8.859
In O Sr Sb Mg
2 12 4 2 1
Cartesian
6.089 2.986 4.747
3.151 5.808 0.525
5.427 2.817 6.736
3.665 5.852 6.451
4.964 0.889 0.415
4.687 1.314 4.084
2.521 0.193 2.601
0.766 3.203 2.325
4.355 4.396 4.167
1.919 4.835 8.707
1.505 4.714 4.883
4.373 4.091 0.925
2.933 2.017 8.912
1.831 1.629 4.937
5.982 5.734 2.526
3.197 2.795 2.678
3.005 3.341 6.320
6.167 0.170 6.861
3.104 0.051 4.547
0.686 3.027 0.334
4.789 2.580 8.555
```

Its relative energy among the computed polymorphs is 15.7 meV per atom. For the energy of formation, the calculation gives -2.449 eV per atom. As for the space-group type: P1.

Entry 4:
HoNiBi | GGA-PBE | optimized geometry

```
HoNiBi
1.0
4.085 1.790 -1.003
3.762 -1.605 2.042
3.038 -2.436 -2.395
Bi Ni Ho
1 1 1
Cartesian
0.000 0.000 0.000
8.164 -1.688 -1.017
5.443 -1.125 -0.678
```

For the energy of formation, the calculation gives -0.667 eV per atom. As for the space-group type: F-43m.

Entry 5:
PbC2S2N2 | GGA-PBE | optimized geometry

```
PbC2S2N2
1.0
-5.440 0.979 2.352
-4.468 -2.678 -2.992
0.839 -6.785 4.795
N S C Pb
4 4 4 2
Cartesian
-4.882 -4.993 0.286
-4.187 -3.491 3.870
-4.063 -2.143 -1.516
-5.006 -6.341 5.671
-6.228 -7.031 3.228
-2.842 -1.453 0.927
-6.756 -3.228 1.430
-2.313 -5.256 2.726
-3.401 -4.239 3.375
-5.514 -6.641 4.635
-3.556 -1.843 -0.479
-5.668 -4.245 0.780
-5.129 -1.098 2.994
-3.940 -7.386 1.161
```

For the energy of formation, the calculation gives -0.140 eV per atom. As for the space-group type: C2/c.

Entry 6:
Nd2Ga5Cu3 | GGA-PBE | optimized geometry

```
Nd2Ga5Cu3
1.0
-1.127 2.069 -3.526
2.165 -2.800 -2.335
-8.360 -5.836 -0.752
Ga Nd Cu
5 2 3
Cartesian
-4.104 -5.021 -1.635
-6.146 -6.446 -1.818
0.519 -0.366 -2.931
-3.737 -1.180 -2.048
-1.695 0.245 -1.865
-1.048 -2.887 -1.359
-6.793 -3.314 -2.324
-3.661 -3.283 -3.307
0.000 0.000 0.000
-4.180 -2.918 -0.376
```

For the energy of formation, the calculation gives -0.473 eV per atom. As for the space-group type: P-4m2.

Entry 7:
Cs2ReO4 | GGA-PBE | optimized geometry

```
Cs2ReO4
1.0
6.641 0.000 0.000
0.000 8.668 0.000
0.000 0.000 11.808
O Cs Re
16 8 4
Cartesian
4.981 8.522 10.852
0.190 6.931 4.133
1.660 6.894 6.678
3.130 6.931 4.133
3.511 6.071 10.037
1.660 2.560 11.034
6.451 6.071 10.037
1.660 0.146 0.956
4.981 1.774 5.130
4.981 4.188 6.860
6.451 1.737 7.675
4.981 6.108 0.774
3.511 1.737 7.675
1.660 4.480 4.948
0.190 2.597 1.771
3.130 2.597 1.771
4.981 0.079 2.453
1.660 4.255 8.357
1.660 1.488 4.894
1.660 5.822 1.009
4.981 4.413 3.451
4.981 7.180 6.913
4.981 2.846 10.798
1.660 8.589 9.355
1.660 6.280 4.967
4.981 6.722 10.871
4.981 2.388 6.841
1.660 1.946 0.937
```

For the energy of formation, the calculation gives -2.126 eV per atom. As for the space-group type: Pnma.

Entry 8:
TeN2 | GGA-PBE | optimized geometry

```
TeN2
1.0
-2.902 -2.238 0.711
-2.726 -0.379 -2.521
-0.383 -3.210 -1.867
N Te
2 1
Cartesian
-4.509 -4.370 -2.758
-1.503 -1.457 -0.919
0.000 0.000 0.000
```

Its relative energy among the computed polymorphs is 431.3 meV per atom. For the energy of formation, the calculation gives 1.522 eV per atom. As for the space-group type: Fm-3m.

Question: Which of these has the highest energy of formation?
Answer: TeN2

Question: energy of formation of number 3 (Sr4MgIn2Sb2O12)?
Answer: -2.449 eV per atom